Record 1
A geometry-optimized Li3Mn4O8 structure. Source: the Materials Project, functional GGA+U.

The structure in CIF format:
```
data_Li3Mn4O8
_cell_length_a 5.7798
_cell_length_b 5.8121
_cell_length_c 6.0546
_cell_angle_alpha 118.47
_cell_angle_beta 118.10
_cell_angle_gamma 90.29
_space_group_name_H-M_alt 'P -1'
_space_group_IT_number 2
_space_group_name_Hall '-P 1'
loop_
_atom_site_label
_atom_site_type_symbol
_atom_site_fract_x
_atom_site_fract_y
_atom_site_fract_z
Li1 Li 0.0000 0.0000 0.0000
Li2 Li 0.0000 0.5000 0.0000
Li3 Li 0.5000 0.0000 0.5000
Mn1 Mn 0.0000 0.5000 0.5000
Mn2 Mn 0.5000 0.0000 0.0000
Mn3 Mn 0.5000 0.5000 0.0000
Mn4 Mn 0.5000 0.5000 0.5000
O1 O 0.2527 0.2742 0.4945
O2 O 0.2526 0.7204 0.4949
O3 O 0.2814 0.7564 0.0116
O4 O 0.2970 0.2813 0.0619
```

* energy relative to the elements: -2095 meV per atom
* crystal system: triclinic

---

Record 2
A geometry-optimized V2CrO6 structure. Source: the Materials Project, functional GGA+U.

The structure in CIF format:
```
data_V2CrO6
_cell_length_a 5.5278
_cell_length_b 6.7681
_cell_length_c 7.1048
_cell_angle_alpha 83.59
_cell_angle_beta 78.14
_cell_angle_gamma 71.58
_space_group_name_H-M_alt 'P -1'
_space_group_IT_number 2
_space_group_name_Hall '-P 1'
loop_
_atom_site_label
_atom_site_type_symbol
_atom_site_fract_x
_atom_site_fract_y
_atom_site_fract_z
V1 V 0.1856 0.3369 0.1082
V2 V 0.2549 0.8877 0.7117
Cr1 Cr 0.2540 0.4181 0.5828
O1 O 0.0555 0.1094 0.1647
O2 O 0.1319 0.4648 0.3326
O3 O 0.2188 0.4571 0.8720
O4 O 0.2356 0.1305 0.6071
O5 O 0.3606 0.6906 0.5373
O6 O 0.4687 0.8244 0.8721
```

* energy relative to the elements: -2348 meV per atom
* crystal system: triclinic

---

Record 3
A geometry-optimized MgFe6O6F6 structure. Source: the Materials Project, functional GGA+U.

The structure in CIF format:
```
data_MgFe6O6F6
_cell_length_a 3.0770
_cell_length_b 5.0230
_cell_length_c 14.4489
_cell_angle_alpha 93.62
_cell_angle_beta 90.03
_cell_angle_gamma 90.06
_space_group_name_H-M_alt 'P 1'
_space_group_IT_number 1
_space_group_name_Hall 'P 1'
loop_
_atom_site_label
_atom_site_type_symbol
_atom_site_fract_x
_atom_site_fract_y
_atom_site_fract_z
Mg1 Mg 0.0000 0.0000 0.0000
Fe1 Fe 0.9998 0.4984 0.9949
Fe2 Fe 0.0012 0.5102 0.3417
Fe3 Fe 0.0025 0.5685 0.6605
Fe4 Fe 0.5002 0.9145 0.1844
Fe5 Fe 0.5014 0.0379 0.8133
Fe6 Fe 0.5028 0.9694 0.5014
O1 O 0.0001 0.7451 0.2339
O2 O 0.0028 0.8270 0.5601
O3 O 0.4992 0.7581 0.0543
O4 O 0.5006 0.2350 0.9496
O5 O 0.5016 0.6808 0.3987
O6 O 0.5028 0.7270 0.7200
F1 F 0.0002 0.1731 0.1264
F2 F 0.0007 0.7785 0.8855
F3 F 0.0020 0.1844 0.4310
F4 F 0.0021 0.2587 0.7527
F5 F 0.5009 0.2615 0.2771
F6 F 0.5030 0.3282 0.5891
```

* energy relative to the elements: -2115 meV per atom
* crystal system: triclinic

---

Record 4
A geometry-optimized Li2CoH8C2O10 structure. Source: the Materials Project, functional GGA+U.

The structure in CIF format:
```
data_Li2CoH8C2O10
_cell_length_a 6.1608
_cell_length_b 5.9884
_cell_length_c 12.0717
_cell_angle_alpha 90.00
_cell_angle_beta 112.29
_cell_angle_gamma 90.00
_space_group_name_H-M_alt 'P 1 21/c 1'
_space_group_IT_number 14
_space_group_name_Hall '-P 2ybc'
loop_
_atom_site_label
_atom_site_type_symbol
_atom_site_fract_x
_atom_site_fract_y
_atom_site_fract_z
Li1 Li 0.1986 0.2450 0.3122
Co1 Co 0.0000 0.0000 0.0000
H1 H 0.1920 0.6692 0.3621
H2 H 0.2254 0.6823 0.9810
H3 H 0.3314 0.1731 0.5692
H4 H 0.4513 0.0917 0.1026
C1 C 0.2617 0.6391 0.1822
O1 O 0.0977 0.7099 0.6527
O2 O 0.1046 0.7481 0.4063
O3 O 0.3045 0.5287 0.2817
O4 O 0.3198 0.1699 0.0384
O5 O 0.3800 0.5965 0.1164
```

* energy relative to the elements: -1531 meV per atom
* crystal system: monoclinic

---

Record 5
A geometry-optimized Pr3Mn4PbO12 structure. Source: the Materials Project, functional GGA+U.

The structure in CIF format:
```
data_Pr3Mn4PbO12
_cell_length_a 5.5630
_cell_length_b 7.8961
_cell_length_c 5.6044
_cell_angle_alpha 90.00
_cell_angle_beta 90.86
_cell_angle_gamma 90.00
_space_group_name_H-M_alt 'P 1 m 1'
_space_group_IT_number 6
_space_group_name_Hall 'P -2y'
loop_
_atom_site_label
_atom_site_type_symbol
_atom_site_fract_x
_atom_site_fract_y
_atom_site_fract_z
Pr1 Pr 0.0000 0.0000 0.0000
Pr2 Pr 0.0145 0.5000 0.0768
Pr3 Pr 0.4989 0.5000 0.5842
Mn1 Mn 0.0094 0.2505 0.5383
Mn2 Mn 0.5103 0.2494 0.0449
Pb1 Pb 0.5153 0.0000 0.5287
O1 O 0.0678 0.0000 0.5647
O2 O 0.2302 0.2953 0.8228
O3 O 0.2854 0.2991 0.3235
O4 O 0.4342 0.0000 0.0351
O5 O 0.5812 0.5000 0.0294
O6 O 0.7384 0.2222 0.7617
O7 O 0.8079 0.2181 0.2424
O8 O 0.9296 0.5000 0.5231
```

* energy relative to the elements: -2631 meV per atom
* crystal system: monoclinic

---

Record 6
A geometry-optimized SrLa2WO7 structure. Source: the Materials Project, functional GGA+U.

The structure in CIF format:
```
data_SrLa2WO7
_cell_length_a 8.9525
_cell_length_b 5.8377
_cell_length_c 12.7905
_cell_angle_alpha 90.00
_cell_angle_beta 105.16
_cell_angle_gamma 90.00
_space_group_name_H-M_alt 'P 1 21/c 1'
_space_group_IT_number 14
_space_group_name_Hall '-P 2ybc'
loop_
_atom_site_label
_atom_site_type_symbol
_atom_site_fract_x
_atom_site_fract_y
_atom_site_fract_z
Sr1 Sr 0.0095 0.0110 0.3641
La1 La 0.2993 0.5153 0.4179
La2 La 0.4298 0.0156 0.6294
W1 W 0.2129 0.0339 0.1653
O1 O 0.0026 0.5473 0.3353
O2 O 0.1812 0.2375 0.0353
O3 O 0.1970 0.7375 0.5747
O4 O 0.2413 0.1650 0.7437
O5 O 0.2586 0.6262 0.8031
O6 O 0.4377 0.0475 0.1800
O7 O 0.4949 0.2403 0.4908
```

* energy relative to the elements: -3304 meV per atom
* crystal system: monoclinic

---

Please write out number 1 again, unchanged.
A geometry-optimized Li3Mn4O8 structure. Source: the Materials Project, functional GGA+U.

The structure in CIF format:
```
data_Li3Mn4O8
_cell_length_a 5.7798
_cell_length_b 5.8121
_cell_length_c 6.0546
_cell_angle_alpha 118.47
_cell_angle_beta 118.10
_cell_angle_gamma 90.29
_space_group_name_H-M_alt 'P -1'
_space_group_IT_number 2
_space_group_name_Hall '-P 1'
loop_
_atom_site_label
_atom_site_type_symbol
_atom_site_fract_x
_atom_site_fract_y
_atom_site_fract_z
Li1 Li 0.0000 0.0000 0.0000
Li2 Li 0.0000 0.5000 0.0000
Li3 Li 0.5000 0.0000 0.5000
Mn1 Mn 0.0000 0.5000 0.5000
Mn2 Mn 0.5000 0.0000 0.0000
Mn3 Mn 0.5000 0.5000 0.0000
Mn4 Mn 0.5000 0.5000 0.5000
O1 O 0.2527 0.2742 0.4945
O2 O 0.2526 0.7204 0.4949
O3 O 0.2814 0.7564 0.0116
O4 O 0.2970 0.2813 0.0619
```

* energy relative to the elements: -2095 meV per atom
* crystal system: triclinic

---

Please write out number 5 again, unchanged.
A geometry-optimized Pr3Mn4PbO12 structure. Source: the Materials Project, functional GGA+U.

The structure in CIF format:
```
data_Pr3Mn4PbO12
_cell_length_a 5.5630
_cell_length_b 7.8961
_cell_length_c 5.6044
_cell_angle_alpha 90.00
_cell_angle_beta 90.86
_cell_angle_gamma 90.00
_space_group_name_H-M_alt 'P 1 m 1'
_space_group_IT_number 6
_space_group_name_Hall 'P -2y'
loop_
_atom_site_label
_atom_site_type_symbol
_atom_site_fract_x
_atom_site_fract_y
_atom_site_fract_z
Pr1 Pr 0.0000 0.0000 0.0000
Pr2 Pr 0.0145 0.5000 0.0768
Pr3 Pr 0.4989 0.5000 0.5842
Mn1 Mn 0.0094 0.2505 0.5383
Mn2 Mn 0.5103 0.2494 0.0449
Pb1 Pb 0.5153 0.0000 0.5287
O1 O 0.0678 0.0000 0.5647
O2 O 0.2302 0.2953 0.8228
O3 O 0.2854 0.2991 0.3235
O4 O 0.4342 0.0000 0.0351
O5 O 0.5812 0.5000 0.0294
O6 O 0.7384 0.2222 0.7617
O7 O 0.8079 0.2181 0.2424
O8 O 0.9296 0.5000 0.5231
```

* energy relative to the elements: -2631 meV per atom
* crystal system: monoclinic

---

Which of these has the highest energy relative to the elements?
Li2CoH8C2O10